1.
Here is crystalline CsPbBr3 at its relaxed geometry from Materials Project. Energies are from GGA-PBE.

Geometry as POSCAR:
```
CsPbBr3
1.0
4.664 0.000 0.000
0.000 10.041 0.000
0.000 0.000 17.198
Cs Pb Br
4 4 12
Direct
0.250 0.912 0.671 Cs
0.250 0.412 0.829 Cs
0.750 0.588 0.171 Cs
0.750 0.088 0.329 Cs
0.750 0.837 0.937 Pb
0.250 0.163 0.063 Pb
0.250 0.663 0.437 Pb
0.750 0.337 0.563 Pb
0.250 0.526 0.612 Br
0.750 0.200 0.710 Br
0.250 0.667 0.000 Br
0.250 0.167 0.500 Br
0.750 0.833 0.500 Br
0.750 0.974 0.112 Br
0.250 0.300 0.210 Br
0.750 0.700 0.790 Br
0.250 0.026 0.888 Br
0.750 0.474 0.388 Br
0.750 0.333 0.000 Br
0.250 0.800 0.290 Br
```

Values from the calculation:
Uncorrected energy (eV per cell): -64.4

---

2.
Here is crystalline Na3Ca4Ta2P3S6O36 at its relaxed geometry from Materials Project. Energies are from GGA-PBE.

Geometry as POSCAR:
```
Na3Ca4Ta2P3S6O36
1.0
-5.932 -3.890 -5.620
8.316 2.058 -2.916
7.636 -21.343 6.712
Na Ca Ta P S O
6 8 4 6 12 72
Direct
0.000 0.000 0.494 Na
0.000 0.000 0.994 Na
0.667 0.333 0.829 Na
0.667 0.333 0.329 Na
0.333 0.667 0.164 Na
0.333 0.667 0.664 Na
0.000 0.000 0.352 Ca
0.000 0.000 0.852 Ca
0.000 0.000 0.648 Ca
0.000 0.000 0.148 Ca
0.667 0.333 0.688 Ca
0.667 0.333 0.188 Ca
0.333 0.667 0.018 Ca
0.333 0.667 0.518 Ca
0.667 0.333 0.976 Ta
0.667 0.333 0.476 Ta
0.333 0.667 0.325 Ta
0.333 0.667 0.825 Ta
0.623 0.657 0.920 P
0.033 0.377 0.920 P
0.343 0.967 0.920 P
0.623 0.967 0.420 P
0.343 0.377 0.420 P
0.033 0.657 0.420 P
0.302 0.984 0.254 S
0.682 0.698 0.254 S
0.016 0.318 0.254 S
0.302 0.318 0.754 S
0.016 0.698 0.754 S
0.682 0.984 0.754 S
0.948 0.328 0.579 S
0.380 0.052 0.579 S
0.672 0.620 0.579 S
0.948 0.620 0.079 S
0.672 0.052 0.079 S
0.380 0.328 0.079 S
0.218 0.008 0.303 O
0.791 0.782 0.303 O
0.992 0.209 0.303 O
0.218 0.209 0.803 O
0.992 0.782 0.803 O
0.791 0.008 0.803 O
0.749 0.953 0.701 O
0.205 0.251 0.701 O
0.047 0.795 0.701 O
0.749 0.795 0.201 O
0.047 0.251 0.201 O
0.205 0.953 0.201 O
0.864 0.334 0.631 O
0.470 0.136 0.631 O
0.666 0.530 0.631 O
0.864 0.530 0.131 O
0.666 0.136 0.131 O
0.470 0.334 0.131 O
0.485 0.328 0.028 O
0.843 0.515 0.028 O
0.672 0.157 0.028 O
0.485 0.157 0.528 O
0.672 0.515 0.528 O
0.843 0.328 0.528 O
0.547 0.681 0.972 O
0.134 0.453 0.972 O
0.319 0.866 0.972 O
0.547 0.866 0.472 O
0.319 0.453 0.472 O
0.134 0.681 0.472 O
0.133 0.629 0.367 O
0.497 0.867 0.367 O
0.371 0.503 0.367 O
0.133 0.503 0.867 O
0.371 0.867 0.867 O
0.497 0.629 0.867 O
0.994 0.796 0.407 O
0.802 0.006 0.407 O
0.204 0.198 0.407 O
0.994 0.198 0.907 O
0.204 0.006 0.907 O
0.802 0.796 0.907 O
0.953 0.167 0.575 O
0.214 0.047 0.575 O
0.833 0.786 0.575 O
0.953 0.786 0.075 O
0.833 0.047 0.075 O
0.214 0.167 0.075 O
0.649 0.128 0.750 O
0.479 0.351 0.750 O
0.872 0.521 0.750 O
0.649 0.521 0.250 O
0.872 0.351 0.250 O
0.479 0.128 0.250 O
0.625 0.480 0.924 O
0.856 0.375 0.924 O
0.520 0.144 0.924 O
0.625 0.144 0.424 O
0.520 0.375 0.424 O
0.856 0.480 0.424 O
0.362 0.480 0.077 O
0.118 0.638 0.077 O
0.520 0.882 0.077 O
0.362 0.882 0.577 O
0.520 0.638 0.577 O
0.118 0.480 0.577 O
0.316 0.824 0.264 O
0.508 0.684 0.264 O
0.176 0.492 0.264 O
0.316 0.492 0.764 O
0.176 0.684 0.764 O
0.508 0.824 0.764 O
```

Values from the calculation:
Total magnetic moment (μB per formula unit): 0.0
Uncorrected energy (eV per cell): -741.5

---

3.
Here is crystalline Na5HfGa3P6O24 at its relaxed geometry from Materials Project. Energies are from GGA-PBE.

Geometry as POSCAR:
```
Na5HfGa3P6O24
1.0
8.793 0.003 -0.003
-4.394 7.606 0.008
-0.008 0.018 22.118
Na Hf Ga P O
15 3 9 18 72
Direct
0.634 0.000 0.253 Na
0.366 0.367 0.254 Na
0.000 0.635 0.253 Na
0.639 0.633 0.747 Na
0.998 0.362 0.748 Na
0.031 0.700 0.581 Na
0.665 0.968 0.581 Na
0.666 0.698 0.082 Na
0.032 0.331 0.082 Na
0.012 0.013 0.495 Na
0.011 0.999 0.996 Na
0.654 0.319 0.832 Na
0.667 0.333 0.335 Na
0.332 0.677 0.165 Na
0.333 0.665 0.661 Na
0.665 0.333 0.979 Hf
0.664 0.332 0.477 Hf
0.334 0.673 0.814 Hf
0.000 0.000 0.355 Ga
0.002 0.001 0.853 Ga
0.008 0.006 0.648 Ga
0.005 0.999 0.150 Ga
0.659 0.327 0.683 Ga
0.665 0.331 0.183 Ga
0.333 0.673 0.015 Ga
0.333 0.660 0.514 Ga
0.333 0.667 0.320 Ga
0.290 0.000 0.250 P
0.711 0.710 0.249 P
0.999 0.290 0.249 P
0.291 0.281 0.750 P
0.995 0.711 0.748 P
0.717 0.007 0.748 P
0.964 0.335 0.586 P
0.371 0.040 0.585 P
0.663 0.627 0.586 P
0.965 0.631 0.086 P
0.663 0.035 0.087 P
0.369 0.331 0.086 P
0.632 0.678 0.918 P
0.045 0.369 0.918 P
0.323 0.955 0.919 P
0.626 0.951 0.416 P
0.324 0.374 0.414 P
0.049 0.675 0.416 P
0.209 0.041 0.305 O
0.834 0.794 0.303 O
0.961 0.166 0.303 O
0.208 0.174 0.807 O
0.963 0.797 0.803 O
0.834 0.040 0.804 O
0.792 0.969 0.690 O
0.172 0.207 0.694 O
0.025 0.817 0.689 O
0.786 0.822 0.191 O
0.035 0.214 0.191 O
0.172 0.960 0.194 O
0.883 0.370 0.643 O
0.493 0.121 0.640 O
0.636 0.519 0.645 O
0.883 0.513 0.143 O
0.636 0.117 0.145 O
0.487 0.367 0.143 O
0.461 0.306 0.031 O
0.841 0.540 0.032 O
0.698 0.160 0.032 O
0.459 0.154 0.528 O
0.697 0.536 0.532 O
0.839 0.301 0.531 O
0.543 0.696 0.975 O
0.154 0.457 0.976 O
0.300 0.845 0.975 O
0.541 0.845 0.474 O
0.301 0.461 0.470 O
0.156 0.697 0.474 O
0.127 0.643 0.357 O
0.517 0.872 0.357 O
0.357 0.481 0.355 O
0.129 0.481 0.860 O
0.353 0.872 0.862 O
0.520 0.650 0.860 O
0.030 0.840 0.411 O
0.811 0.970 0.410 O
0.160 0.189 0.410 O
0.027 0.186 0.912 O
0.158 0.973 0.911 O
0.814 0.842 0.911 O
0.975 0.164 0.591 O
0.185 0.016 0.590 O
0.832 0.813 0.589 O
0.975 0.811 0.091 O
0.833 0.020 0.091 O
0.184 0.168 0.091 O
0.697 0.172 0.742 O
0.479 0.311 0.744 O
0.830 0.522 0.744 O
0.689 0.522 0.243 O
0.832 0.311 0.244 O
0.478 0.167 0.244 O
0.648 0.509 0.922 O
0.861 0.353 0.922 O
0.491 0.140 0.923 O
0.646 0.137 0.421 O
0.492 0.356 0.421 O
0.863 0.508 0.422 O
0.353 0.499 0.079 O
0.145 0.642 0.078 O
0.503 0.850 0.079 O
0.352 0.853 0.578 O
0.502 0.652 0.578 O
0.144 0.503 0.577 O
0.313 0.836 0.257 O
0.524 0.689 0.255 O
0.164 0.477 0.255 O
0.314 0.472 0.755 O
0.157 0.682 0.753 O
0.532 0.837 0.754 O
```

Values from the calculation:
Total magnetic moment (μB per formula unit): 0.0
Uncorrected energy (eV per cell): -798.4